{"formula": "ZrMnCu2Se4", "functional": "PBE-GGA", "state": "relaxed", "ef_ev_per_atom": -0.72, "total_energy_ev_per_cell": -43.8, "space_group": "Cm, No. 8", "lattice_angstrom": [[2.337, 6.433, 0.000], [-2.337, 6.433, 0.000], [0.000, 2.847, 5.970]], "species": ["Se", "Se", "Zr", "Cu", "Se", "Mn", "Se", "Cu"], "fractional_positions": [[0.493, 0.493, 0.561], [0.993, 0.993, 0.012], [0.470, 0.470, 0.202], [0.681, 0.681, 0.602], [0.240, 0.240, 0.399], [0.273, 0.273, 0.755], [0.713, 0.713, 0.937], [0.106, 0.106, 0.228]]}